Version a
Compound: Te2MoWS2
Source: the Materials Project database
Functional: PBE
Structure: relaxed

Geometry as CIF:
```
data_Te2MoWS2
_symmetry_space_group_name_H-M 'P 1'
_symmetry_Int_Tables_number 1
_symmetry_space_group_name_Hall 'P 1'
_cell_length_a 3.365
_cell_length_b 3.365
_cell_length_c 38.315
_cell_angle_alpha 90.00
_cell_angle_beta 90.00
_cell_angle_gamma 120.00
loop_
_atom_site_label
_atom_site_type_symbol
_atom_site_fract_x
_atom_site_fract_y
_atom_site_fract_z
Te1 Te 0.000 0.000 0.331
Te2 Te 0.000 0.000 0.707
Te3 Te 0.000 0.000 0.232
Te4 Te 0.000 0.000 0.608
Mo1 Mo 0.000 0.000 0.094
Mo2 Mo 0.000 0.000 0.470
W1 W 0.333 0.667 0.282
W2 W 0.333 0.667 0.658
S1 S 0.333 0.667 0.054
S2 S 0.333 0.667 0.430
S3 S 0.333 0.667 0.133
S4 S 0.333 0.667 0.509
```

Computed properties:
ρ   5.297 Mg/m³

---

Version b
Compound: Te2MoWS2
Source: the Materials Project database
Functional: PBE
Structure: relaxed

Geometry as CIF:
```
data_Te2MoWS2
_symmetry_space_group_name_H-M 'P 1'
_symmetry_Int_Tables_number 1
_symmetry_space_group_name_Hall 'P 1'
_cell_length_a 3.359
_cell_length_b 3.359
_cell_length_c 38.345
_cell_angle_alpha 90.00
_cell_angle_beta 90.00
_cell_angle_gamma 120.00
loop_
_atom_site_label
_atom_site_type_symbol
_atom_site_fract_x
_atom_site_fract_y
_atom_site_fract_z
Te1 Te 0.000 0.000 0.331
Te2 Te 0.000 0.000 0.707
Te3 Te 0.000 0.000 0.232
Te4 Te 0.000 0.000 0.608
Mo1 Mo 0.000 0.000 0.094
Mo2 Mo 0.333 0.667 0.282
W1 W 0.000 0.000 0.470
W2 W 0.333 0.667 0.658
S1 S 0.333 0.667 0.054
S2 S 0.333 0.667 0.430
S3 S 0.333 0.667 0.133
S4 S 0.333 0.667 0.509
```

Computed properties:
ρ   5.310 Mg/m³

---

Computed relative energies in units of kJ/mol of atoms: version a 3.4; version b 0.0

---

Version a
Compound: BaCaTbBiO6
Source: the Materials Project database
Functional: PBE
Structure: relaxed

Geometry as CIF:
```
data_BaCaTbBiO6
_symmetry_space_group_name_H-M 'P 1'
_symmetry_Int_Tables_number 1
_symmetry_space_group_name_Hall 'P 1'
_cell_length_a 6.005
_cell_length_b 6.082
_cell_length_c 8.569
_cell_angle_alpha 90.06
_cell_angle_beta 89.72
_cell_angle_gamma 90.12
loop_
_atom_site_label
_atom_site_type_symbol
_atom_site_fract_x
_atom_site_fract_y
_atom_site_fract_z
Ba1 Ba 0.994 0.034 0.250
Ba2 Ba 0.006 0.966 0.750
Ca1 Ca 0.510 0.540 0.252
Ca2 Ca 0.490 0.460 0.748
Tb1 Tb 0.500 0.000 0.000
Tb2 Tb 0.000 0.500 0.500
Bi1 Bi 0.000 0.500 0.000
Bi2 Bi 0.500 0.000 0.500
O1 O 0.204 0.218 0.962
O2 O 0.309 0.707 0.559
O3 O 0.796 0.782 0.038
O4 O 0.691 0.293 0.441
O5 O 0.288 0.696 0.937
O6 O 0.216 0.205 0.531
O7 O 0.712 0.304 0.063
O8 O 0.784 0.795 0.469
O9 O 0.433 0.934 0.258
O10 O 0.111 0.497 0.242
O11 O 0.567 0.066 0.742
O12 O 0.889 0.503 0.758
```

Computed properties:
ρ   6.805 Mg/m³

---

Version b
Compound: BaCaTbBiO6
Source: the Materials Project database
Functional: PBE
Structure: relaxed

Geometry as CIF:
```
data_BaCaTbBiO6
_symmetry_space_group_name_H-M 'P 1'
_symmetry_Int_Tables_number 1
_symmetry_space_group_name_Hall 'P 1'
_cell_length_a 6.114
_cell_length_b 6.114
_cell_length_c 6.114
_cell_angle_alpha 60.00
_cell_angle_beta 60.00
_cell_angle_gamma 60.00
loop_
_atom_site_label
_atom_site_type_symbol
_atom_site_fract_x
_atom_site_fract_y
_atom_site_fract_z
Ba1 Ba 0.750 0.750 0.750
Ca1 Ca 0.250 0.250 0.250
Tb1 Tb 0.500 0.500 0.500
Bi1 Bi 0.000 0.000 0.000
O1 O 0.756 0.244 0.244
O2 O 0.244 0.756 0.756
O3 O 0.756 0.244 0.756
O4 O 0.244 0.756 0.244
O5 O 0.756 0.756 0.244
O6 O 0.244 0.244 0.756
```

Computed properties:
ρ   6.590 Mg/m³

---

Computed relative energies in units of kJ/mol of atoms: version a 0.0; version b 9.8

---

Version a
Compound: Sr4LiSm2Ta2O12
Source: the Materials Project database
Functional: PBE
Structure: relaxed

Geometry as CIF:
```
data_Sr4LiSm2Ta2O12
_symmetry_space_group_name_H-M 'P 1'
_symmetry_Int_Tables_number 1
_symmetry_space_group_name_Hall 'P 1'
_cell_length_a 5.846
_cell_length_b 6.175
_cell_length_c 8.427
_cell_angle_alpha 91.02
_cell_angle_beta 89.45
_cell_angle_gamma 90.69
loop_
_atom_site_label
_atom_site_type_symbol
_atom_site_fract_x
_atom_site_fract_y
_atom_site_fract_z
Sr1 Sr 0.029 0.404 0.278
Sr2 Sr 0.986 0.551 0.749
Sr3 Sr 0.461 0.956 0.249
Sr4 Sr 0.514 0.053 0.750
Li1 Li 0.850 0.733 0.161
Sm1 Sm 0.998 0.987 0.502
Sm2 Sm 0.484 0.507 0.999
Ta1 Ta 0.997 0.020 0.988
Ta2 Ta 0.509 0.502 0.502
O1 O 0.905 0.021 0.231
O2 O 0.095 0.970 0.767
O3 O 0.617 0.554 0.265
O4 O 0.413 0.467 0.731
O5 O 0.161 0.723 0.056
O6 O 0.808 0.274 0.945
O7 O 0.319 0.227 0.448
O8 O 0.692 0.768 0.563
O9 O 0.276 0.192 0.047
O10 O 0.715 0.815 0.962
O11 O 0.231 0.687 0.456
O12 O 0.784 0.308 0.538
```

Computed properties:
ρ   6.618 Mg/m³

---

Version b
Compound: Sr4LiSm2Ta2O12
Source: the Materials Project database
Functional: PBE
Structure: relaxed

Geometry as CIF:
```
data_Sr4LiSm2Ta2O12
_symmetry_space_group_name_H-M 'P 1'
_symmetry_Int_Tables_number 1
_symmetry_space_group_name_Hall 'P 1'
_cell_length_a 5.818
_cell_length_b 6.182
_cell_length_c 8.443
_cell_angle_alpha 91.72
_cell_angle_beta 90.84
_cell_angle_gamma 89.25
loop_
_atom_site_label
_atom_site_type_symbol
_atom_site_fract_x
_atom_site_fract_y
_atom_site_fract_z
Sr1 Sr 0.038 0.448 0.248
Sr2 Sr 0.981 0.560 0.741
Sr3 Sr 0.470 0.899 0.282
Sr4 Sr 0.515 0.061 0.752
Li1 Li 0.636 0.223 0.148
Sm1 Sm 0.993 0.000 0.500
Sm2 Sm 0.499 0.539 0.982
Ta1 Ta 0.013 0.009 0.000
Ta2 Ta 0.499 0.485 0.500
O1 O 0.886 0.049 0.230
O2 O 0.092 0.976 0.771
O3 O 0.586 0.503 0.261
O4 O 0.401 0.475 0.728
O5 O 0.184 0.738 0.061
O6 O 0.813 0.285 0.959
O7 O 0.312 0.217 0.449
O8 O 0.685 0.764 0.544
O9 O 0.299 0.189 0.052
O10 O 0.730 0.821 0.947
O11 O 0.218 0.685 0.456
O12 O 0.774 0.303 0.555
```

Computed properties:
ρ   6.632 Mg/m³

---

Computed relative energies in units of kJ/mol of atoms: version a 0.0; version b 0.6

---

Version a
Compound: K3Hf
Source: the Materials Project database
Functional: PBE
Structure: relaxed

Geometry as CIF:
```
data_K3Hf
_symmetry_space_group_name_H-M 'P 1'
_symmetry_Int_Tables_number 1
_symmetry_space_group_name_Hall 'P 1'
_cell_length_a 6.495
_cell_length_b 6.495
_cell_length_c 6.495
_cell_angle_alpha 60.00
_cell_angle_beta 60.00
_cell_angle_gamma 60.00
loop_
_atom_site_label
_atom_site_type_symbol
_atom_site_fract_x
_atom_site_fract_y
_atom_site_fract_z
K1 K 0.250 0.250 0.250
K2 K 0.750 0.750 0.750
K3 K 0.500 0.500 0.500
Hf1 Hf 0.000 0.000 0.000
```

Computed properties:
ρ   2.535 Mg/m³

---

Version b
Compound: K3Hf
Source: the Materials Project database
Functional: PBE
Structure: relaxed

Geometry as CIF:
```
data_K3Hf
_symmetry_space_group_name_H-M 'P 1'
_symmetry_Int_Tables_number 1
_symmetry_space_group_name_Hall 'P 1'
_cell_length_a 5.788
_cell_length_b 5.788
_cell_length_c 5.788
_cell_angle_alpha 90.00
_cell_angle_beta 90.00
_cell_angle_gamma 90.00
loop_
_atom_site_label
_atom_site_type_symbol
_atom_site_fract_x
_atom_site_fract_y
_atom_site_fract_z
K1 K 0.000 0.500 0.500
K2 K 0.500 0.500 0.000
K3 K 0.500 0.000 0.500
Hf1 Hf 0.000 0.000 0.000
```

Computed properties:
ρ   2.534 Mg/m³

---

Computed relative energies in units of kJ/mol of atoms: version a 0.0; version b 5.2